## a
Li5V3P8O29 | the Materials Project | PBE with a Hubbard U | relaxed; symmetry = P1, No. 1
1.0
9.7552 0.0000 0.0000
4.8764 8.4958 0.0000
0.0052 0.0436 14.0183
Li V P O
10 6 16 58
Direct
0.0000 0.0000 0.0000
0.0083 0.5758 0.5049
0.1026 0.8198 0.3839
0.4400 0.0080 0.5032
0.4540 0.1394 0.0014
0.5365 0.2505 0.3839
0.5468 0.8166 0.8820
0.6811 0.2361 0.8795
0.7755 0.9111 0.4468
0.8682 0.5900 0.9994
0.2044 0.4826 0.6970
0.2055 0.9134 0.1924
0.3384 0.9124 0.6928
0.3391 0.3478 0.1889
0.7692 0.4819 0.1993
0.7773 0.3452 0.6839
0.0003 0.0026 0.7819
0.0018 0.5988 0.2852
0.0858 0.8247 0.5990
0.0877 0.6848 0.1009
0.1017 0.2479 0.0726
0.1092 0.2488 0.5698
0.4377 0.5783 0.3147
0.4456 0.5761 0.8103
0.4528 0.1439 0.7844
0.4576 0.0027 0.2854
0.5431 0.2287 0.6014
0.5439 0.8236 0.1029
0.6873 0.2337 0.0971
0.6884 0.6914 0.6013
0.8559 0.1369 0.2832
0.8602 0.5927 0.7858
0.0014 0.6745 0.0169
0.0068 0.9244 0.8737
0.0260 0.5715 0.7832
0.0270 0.9964 0.2836
0.0915 0.2557 0.9664
0.0958 0.4031 0.6107
0.0981 0.0991 0.1126
0.0994 0.2536 0.4635
0.1108 0.6558 0.6060
0.1110 0.8301 0.1004
0.1522 0.0129 0.7622
0.1538 0.4426 0.2723
0.2420 0.8248 0.6104
0.2498 0.5333 0.1189
0.2581 0.2406 0.1091
0.2623 0.1028 0.6088
0.2838 0.7242 0.2758
0.2916 0.2903 0.7660
0.2950 0.5827 0.7675
0.3011 0.0036 0.2723
0.3882 0.3824 0.6114
0.3940 0.8121 0.1209
0.4324 0.1724 0.2760
0.4379 0.9940 0.7854
0.4483 0.5741 0.4207
0.4496 0.4244 0.2742
0.4496 0.7266 0.7727
0.4579 0.5651 0.9165
0.5165 0.8310 0.6015
0.5220 0.2485 0.0981
0.5316 0.1568 0.8737
0.5333 0.9114 0.0125
0.5445 0.9309 0.3764
0.5529 0.1354 0.5128
0.5654 0.1200 0.6936
0.5666 0.9117 0.1935
0.5848 0.5849 0.2669
0.5932 0.4268 0.7641
0.6763 0.3929 0.1204
0.6869 0.2558 0.6047
0.6889 0.5327 0.6102
0.6925 0.6569 0.1038
0.7619 0.1273 0.3644
0.7621 0.7109 0.6997
0.7713 0.6652 0.8764
0.7749 0.1616 0.0064
0.7808 0.7033 0.5197
0.7830 0.1168 0.1840
0.8524 0.1712 0.7764
0.8560 0.2955 0.2731
0.8559 0.5743 0.2772
0.8669 0.4346 0.7633
0.9557 0.3967 0.1197
0.9613 0.2421 0.6160
0.9790 0.9139 0.6915
0.9843 0.7117 0.1974
0.9932 0.6863 0.3758
0.9955 0.8996 0.5088



## b
Li5V3P8O29 | the Materials Project | PBE with a Hubbard U | relaxed; symmetry = P1, No. 1
1.0
9.7715 0.0000 0.0000
-4.8227 8.5137 0.0000
-0.0521 -0.1415 14.0140
Li V P O
10 6 16 58
Direct
0.0000 0.0000 0.0000
0.0002 0.4461 0.5022
0.2311 0.7684 0.3832
0.2493 0.3492 0.8286
0.5683 0.9964 0.0507
0.5818 0.5810 0.5046
0.6753 0.3476 0.3803
0.8122 0.3461 0.8796
0.8225 0.9004 0.3829
0.9094 0.6737 0.9353
0.3371 0.0993 0.6897
0.3374 0.6727 0.1861
0.4692 0.2437 0.1882
0.4774 0.6771 0.6980
0.9066 0.1035 0.1936
0.9067 0.2423 0.6889
0.0001 0.9921 0.7831
0.1276 0.5869 0.7859
0.1401 0.9893 0.2860
0.2173 0.8993 0.0989
0.2239 0.7571 0.6010
0.2336 0.3355 0.0674
0.2446 0.3423 0.5703
0.5719 0.0083 0.3122
0.5774 0.0147 0.8140
0.5890 0.5893 0.2824
0.5953 0.4485 0.7824
0.6717 0.3547 0.5966
0.6847 0.7593 0.0969
0.8122 0.3533 0.0983
0.8177 0.9028 0.6006
0.9950 0.4439 0.2805
0.0058 0.2933 0.2610
0.0163 0.1566 0.7710
0.0894 0.1826 0.1040
0.0929 0.3454 0.6072
0.1063 0.6688 0.8688
0.1099 0.6648 0.6872
0.1180 0.8812 0.1932
0.1218 0.8943 0.0149
0.1498 0.6740 0.5088
0.1526 0.9101 0.3725
0.1590 0.5918 0.2797
0.1695 0.0153 0.7738
0.2344 0.4813 0.1097
0.2425 0.3299 0.9613
0.2464 0.3364 0.4644
0.2466 0.1970 0.6199
0.2471 0.9258 0.6057
0.2512 0.7601 0.1025
0.2779 0.5723 0.7768
0.2888 0.1489 0.2629
0.3820 0.0510 0.1111
0.3827 0.7652 0.6210
0.3839 0.3346 0.1147
0.3949 0.4905 0.6112
0.4209 0.8599 0.2722
0.4289 0.0149 0.7668
0.4301 0.5812 0.2618
0.4332 0.2974 0.7735
0.5249 0.1962 0.6177
0.5356 0.7764 0.1078
0.5624 0.5887 0.7812
0.5678 0.4205 0.2796
0.5706 0.0210 0.9205
0.5736 0.1585 0.2670
0.5750 0.0194 0.4182
0.5789 0.8687 0.7734
0.6433 0.3313 0.1094
0.6524 0.7555 0.6055
0.6589 0.4276 0.5054
0.6636 0.6714 0.3747
0.6903 0.4694 0.6837
0.7005 0.4599 0.8627
0.7018 0.6804 0.1956
0.7027 0.6766 0.0137
0.7214 0.0019 0.2742
0.7237 0.1670 0.7778
0.7960 0.1894 0.1118
0.8079 0.0545 0.6225
0.8224 0.3399 0.5982
0.8277 0.9321 0.1047
0.8866 0.4357 0.0084
0.8980 0.9126 0.5095
0.9043 0.4624 0.1896
0.9063 0.4307 0.3704
0.9092 0.8848 0.6916
0.9251 0.9089 0.8729
0.9859 0.4140 0.7779
0.9924 0.0095 0.2837



Here are the energies relative to the best structure, in meV per atom: a 0; b 8.



## a
Li2VP2O8 | the Materials Project | PBE with a Hubbard U | relaxed; symmetry = P2_12_12_1, No. 19
1.0
6.8794 0.0000 0.0000
0.0000 8.9477 0.0000
0.0000 0.0000 10.8599
Li V P O
8 4 8 32
Direct
0.1284 0.0922 0.3960
0.2293 0.2624 0.0085
0.2707 0.7376 0.5085
0.3716 0.9078 0.8960
0.6284 0.4078 0.6040
0.7293 0.2376 0.9915
0.7707 0.7624 0.4915
0.8716 0.5922 0.1040
0.2436 0.7763 0.1835
0.2564 0.2237 0.6835
0.7436 0.7237 0.8165
0.7564 0.2763 0.3165
0.0296 0.9372 0.6472
0.1270 0.4949 0.3357
0.3730 0.5051 0.8357
0.4704 0.0628 0.1472
0.5296 0.5628 0.3528
0.6270 0.0051 0.6643
0.8730 0.9949 0.1643
0.9704 0.4372 0.8528
0.0280 0.3416 0.3217
0.0526 0.2880 0.8026
0.0734 0.5948 0.4424
0.0934 0.9123 0.5144
0.1165 0.5764 0.2091
0.1471 0.5559 0.8514
0.1768 0.2288 0.5426
0.1879 0.0062 0.7306
0.3121 0.9938 0.2306
0.3232 0.7712 0.0426
0.3529 0.4441 0.3514
0.3835 0.4236 0.7091
0.4066 0.0877 0.0144
0.4266 0.4052 0.9424
0.4474 0.7120 0.3026
0.4720 0.6584 0.8217
0.5280 0.1584 0.6783
0.5526 0.2120 0.1974
0.5734 0.9052 0.5576
0.5934 0.5877 0.4856
0.6165 0.9236 0.7909
0.6471 0.9441 0.1486
0.6768 0.2712 0.4574
0.6879 0.4938 0.2694
0.8121 0.5062 0.7694
0.8232 0.7288 0.9574
0.8529 0.0559 0.6486
0.8835 0.0764 0.2909
0.9066 0.4123 0.9856
0.9266 0.0948 0.0576
0.9474 0.7880 0.6974
0.9720 0.8416 0.1783



## b
VASP calculation (PBE with a Hubbard U) on a relaxed structure of Li2VP2O8.

POSCAR file:
```
Li2VP2O8
1.0
0.0063 0.0000 5.0978
7.6131 7.7656 -0.5389
-7.6134 7.7659 0.5389
Li O V P
8 32 4 8
Direct
0.3906 0.2700 0.3614
0.1094 0.3613 0.7700
0.6093 0.7300 0.6386
0.1093 0.8614 0.2700
0.3907 0.7701 0.8614
0.6093 0.2300 0.1386
0.8905 0.1386 0.7300
0.8906 0.6386 0.2299
0.9289 0.7928 0.1435
0.6902 0.0400 0.6020
0.0710 0.2072 0.8566
0.9291 0.2927 0.6434
0.7025 0.8593 0.9558
0.3098 0.4600 0.8981
0.3099 0.9600 0.3981
0.1902 0.8980 0.9601
0.2976 0.1406 0.0442
0.8099 0.6019 0.5400
0.0274 0.6815 0.9436
0.4726 0.9436 0.1816
0.7977 0.4558 0.8593
0.5710 0.6435 0.7927
0.9725 0.3185 0.0563
0.6901 0.5401 0.1019
0.9725 0.8185 0.5564
0.4290 0.3565 0.2072
0.4289 0.8565 0.7073
0.2976 0.6407 0.5442
0.5710 0.1435 0.2927
0.8098 0.1019 0.0400
0.5274 0.0564 0.8185
0.7023 0.3594 0.4558
0.0709 0.7073 0.3565
0.1902 0.3981 0.4600
0.2023 0.0442 0.6407
0.2022 0.5442 0.1406
0.0275 0.1815 0.4436
0.5275 0.5564 0.3184
0.7977 0.9558 0.3594
0.4725 0.4436 0.6815
0.5001 0.5001 0.4999
0.5002 0.0000 0.0000
0.0002 0.9999 0.5000
0.9999 0.5001 0.0000
0.9596 0.8054 0.0065
0.5406 0.0064 0.3055
0.0405 0.6945 0.4935
0.9596 0.3055 0.5064
0.4594 0.4936 0.1945
0.4596 0.9936 0.6946
0.5404 0.5064 0.8054
0.0406 0.1946 0.9936
```



## c
Li2VP2O8 | the Materials Project | PBE with a Hubbard U | relaxed; symmetry = P2_1, No. 4; piezoelectric modulus e_max = 0.98 C/m2
1.0
5.0467 0.0000 0.0000
0.0000 8.3425 0.0000
-0.9995 0.0000 6.9323
Li V P O
4 2 4 16
Direct
0.2357 0.0000 0.1093
0.2501 0.3398 0.7503
0.7499 0.8398 0.2497
0.7643 0.5000 0.8907
0.2589 0.3530 0.2624
0.7411 0.8530 0.7376
0.1875 0.0317 0.5205
0.2947 0.6739 0.9779
0.7053 0.1739 0.0221
0.8125 0.5317 0.4795
0.0070 0.2192 0.0954
0.0377 0.9979 0.6960
0.0629 0.9555 0.3349
0.2139 0.2160 0.4952
0.2955 0.4913 0.0296
0.3956 0.7806 0.1464
0.4697 0.6871 0.8111
0.4817 0.9659 0.5837
0.5183 0.4659 0.4163
0.5303 0.1871 0.1889
0.6044 0.2806 0.8536
0.7045 0.9913 0.9704
0.7861 0.7160 0.5048
0.9371 0.4555 0.6651
0.9623 0.4979 0.3040
0.9930 0.7192 0.9046



Here are the energies relative to the best structure, in meV per atom: a 48; b 0; c 16.